The following is a DFT calculation (PBE) of NaH4CNO2 after structural relaxation.

POSCAR file:
```
NaH4CNO2
1.0
6.153 0.000 0.000
0.000 10.891 0.000
-1.297 0.000 6.704
Na H C N O
4 16 4 4 8
Direct
0.059 0.150 0.435
0.059 0.350 0.935
0.941 0.650 0.065
0.941 0.850 0.565
0.182 0.057 0.819
0.182 0.443 0.319
0.229 0.705 0.413
0.229 0.795 0.913
0.354 0.512 0.216
0.354 0.988 0.716
0.373 0.739 0.777
0.373 0.761 0.277
0.627 0.239 0.723
0.627 0.261 0.223
0.646 0.012 0.284
0.646 0.488 0.784
0.771 0.205 0.087
0.771 0.295 0.587
0.818 0.557 0.681
0.818 0.943 0.181
0.257 0.157 0.122
0.257 0.343 0.622
0.743 0.657 0.378
0.743 0.843 0.878
0.385 0.089 0.216
0.385 0.411 0.716
0.615 0.589 0.284
0.615 0.911 0.784
0.198 0.018 0.693
0.198 0.482 0.193
0.224 0.734 0.807
0.224 0.766 0.307
0.776 0.234 0.693
0.776 0.266 0.193
0.802 0.518 0.807
0.802 0.982 0.307
```

VASP energy = -5.405 eV per atom
energy above the lowest structure with this stoichiometry = 0.0432 eV/atom
V = 12.48 Å³/atom
formation energy = -7.67 eV/f.u.
density = 1257 kg/m³

The following is a DFT calculation (PBE) of BaSrCuBiO6 after structural relaxation.

POSCAR file:
```
BaSrCuBiO6
1.0
0.000 4.155 4.155
4.155 0.000 4.155
4.155 4.155 0.000
Ba Sr Cu Bi O
1 1 1 1 6
Direct
0.000 0.000 0.000
0.500 0.500 0.500
0.250 0.250 0.250
0.750 0.750 0.750
0.010 0.010 0.490
0.010 0.490 0.010
0.010 0.490 0.490
0.490 0.010 0.010
0.490 0.010 0.490
0.490 0.490 0.010
```

VASP energy = -5.668 eV per atom
V = 14.35 Å³/atom
formation energy = -19.52 eV/f.u.
density = 6870 kg/m³

The following is a DFT calculation (PBE) of SrZnP2H2O8 after structural relaxation.

POSCAR file:
```
SrZnP2H2O8
1.0
7.303 0.000 0.000
-1.447 7.763 0.000
-2.370 -1.495 7.427
Sr Zn P H O
2 2 4 4 16
Direct
0.097 0.020 0.278
0.903 0.980 0.722
0.092 0.524 0.281
0.908 0.476 0.719
0.228 0.324 0.979
0.242 0.782 0.660
0.758 0.218 0.340
0.772 0.676 0.021
0.411 0.825 0.813
0.413 0.352 0.955
0.587 0.648 0.045
0.589 0.175 0.187
0.062 0.710 0.720
0.073 0.311 0.790
0.184 0.143 0.032
0.207 0.952 0.591
0.236 0.483 0.117
0.275 0.640 0.525
0.387 0.858 0.213
0.409 0.282 0.530
0.591 0.718 0.470
0.613 0.142 0.787
0.725 0.360 0.475
0.764 0.517 0.883
0.793 0.048 0.409
0.816 0.857 0.968
0.927 0.689 0.210
0.938 0.290 0.280
```

VASP energy = -5.564 eV per atom
V = 15.04 Å³/atom
formation energy = -23.24 eV/f.u.
density = 2721 kg/m³